Record 1
Computed, not measured: a relaxed AlH16C2S2NO14 crystal at the PBE-GGA level of DFT.

a b c (Å): 6.5327 10.5693 11.6152
angles (deg): 90.00 99.42 90.00
Closest atoms and distances in Å follow each position.
Positions (direct):
H 0.3716 0.0798 0.6059  1 C 1.09
H 0.2871 0.8468 0.0987  1 O 1.01
H 0.2499 0.5488 0.0272  1 C 1.09
H 0.1228 0.3114 0.6413  1 O 1.00
H 0.1743 0.6360 0.6739  1 O 0.99
H 0.3567 0.8157 0.8655  1 O 1.00
H 0.8132 0.3499 0.3286  1 O 1.00
H 0.8480 0.6264 0.9052  1 N 1.11
H 0.7056 0.1611 0.8985  1 O 1.02
H 0.7499 0.9512 0.5272  1 C 1.09
H 0.3480 0.8736 0.4052  1 N 1.11
H 0.6668 0.0865 0.4235  1 C 1.09
H 0.8307 0.9786 0.1515  1 O 1.01
H 0.8567 0.6843 0.3655  1 O 1.00
H 0.1644 0.0294 0.8484  1 O 1.00
H 0.6644 0.4706 0.3484  1 O 1.00
H 0.1668 0.4135 0.9235  1 C 1.09
H 0.2988 0.4808 0.3845  1 O 1.00
H 0.2056 0.3389 0.3985  1 O 1.02
H 0.3132 0.1501 0.8286  1 O 1.00
H 0.6107 0.8119 0.8892  1 O 1.01
H 0.7988 0.0192 0.8845  1 O 1.00
H 0.3665 0.1988 0.1080  1 O 1.02
H 0.8716 0.4202 0.1059  1 C 1.09
H 0.6743 0.8640 0.1739  1 O 0.99
H 0.1902 0.9861 0.1195  1 O 1.01
H 0.8665 0.3012 0.6080  1 O 1.02
H 0.3307 0.5214 0.6515  1 O 1.01
H 0.6228 0.1886 0.1413  1 O 1.00
H 0.7871 0.6532 0.5987  1 O 1.01
H 0.1107 0.6881 0.3892  1 O 1.01
H 0.6902 0.5139 0.6195  1 O 1.01
O 0.6537 0.2490 0.6404  1 S 1.48, 1 H 1.60
O 0.1811 0.2035 0.3487  1 S 1.48, 1 H 1.54
O 0.0393 0.0468 0.2042  1 S 1.51, 2 H 1.57-1.63
O 0.1438 0.7509 0.7811  1 S 1.49
O 0.6811 0.2965 0.8487  1 S 1.48, 1 H 1.54
O 0.2150 0.4290 0.4315  2 H 1.00-1.02
O 0.4843 0.8506 0.9144  2 H 1.00-1.01
O 0.1537 0.2510 0.1404  1 S 1.48, 1 H 1.60
O 0.7150 0.0710 0.9315  2 H 1.00-1.02
O 0.2886 0.0800 0.8831  2 H 1.00
O 0.3109 0.7520 0.3527  2 H 1.43-1.59, 1 S 1.52
O 0.9520 0.9476 0.7987  1 S 1.49, 1 H 1.66
O 0.2747 0.9371 0.0695  2 H 1.01
O 0.7886 0.4200 0.3831  2 H 1.00
O 0.7011 0.9299 0.1172  2 H 0.99-1.01
O 0.4973 0.1603 0.0861  2 H 1.00-1.02
O 0.7747 0.5629 0.5695  2 H 1.01
O 0.8109 0.7480 0.8527  2 H 1.43-1.59, 1 S 1.52
O 0.5393 0.4532 0.7042  1 S 1.51, 2 H 1.57-1.63
O 0.9843 0.6494 0.4144  2 H 1.00-1.01
O 0.6438 0.7491 0.2811  1 S 1.49
O 0.8217 0.7941 0.6482  1 S 1.48, 1 H 1.60
O 0.9973 0.3397 0.5861  2 H 1.00-1.02
O 0.3412 0.2610 0.7299  1 S 1.51, 1 H 1.67
O 0.3217 0.7059 0.1482  1 S 1.48, 1 H 1.60
O 0.2011 0.5701 0.6172  2 H 0.99-1.01
O 0.4520 0.5524 0.2987  1 S 1.49, 1 H 1.66
O 0.8412 0.2390 0.2299  1 S 1.51, 1 H 1.67
C 0.1299 0.4849 0.9845  2 H 1.09
C 0.6299 0.0151 0.4845  2 H 1.09
C 0.9460 0.4661 0.0396  1 H 1.09
C 0.4460 0.0339 0.5396  1 H 1.09
Al 0.4941 0.0057 0.0009  6 O 1.89-1.92
Al 0.9941 0.4943 0.5009  6 O 1.89-1.92
N 0.4165 0.9567 0.4564  1 H 1.11
N 0.9165 0.5433 0.9564  1 H 1.11
S 0.0568 0.1862 0.2310  4 O 1.48-1.51
S 0.9345 0.8108 0.7682  4 O 1.48-1.52
S 0.4345 0.6892 0.2682  4 O 1.48-1.52
S 0.5568 0.3138 0.7310  4 O 1.48-1.51

Values from the calculation:
Relative energy among the computed polymorphs (kJ/mol of formula units): 0
Space group: Pc
Energy of formation from the pure elements (kJ per mole of atoms): -125.5
Magnetic moment (μB/atom): 0.00



Record 2
Computed, not measured: a relaxed VS2 crystal at the PBE-GGA level of DFT.

a b c (Å): 3.1881 3.1881 22.8387
angles (deg): 90.00 90.00 120.00
Closest atoms and distances in Å follow each position.
Positions (direct):
S 0.3333 0.6667 0.9356  3 V 2.36
S 0.6667 0.3333 0.4356  3 V 2.36
S 0.3333 0.6667 0.5644  3 V 2.36
S 0.6667 0.3333 0.0644  3 V 2.36
V 0.0000 0.0000 0.5000  6 S 2.36
V 0.0000 0.0000 0.0000  6 S 2.36

Values from the calculation:
Space group: P6_3/mmc
Energy of formation from the pure elements (kJ per mole of atoms): -114.1



Record 3
Computed, not measured: a relaxed Li2La3NdSb2O12 crystal at the PBE-GGA level of DFT.

a b c (Å): 5.6510 5.7850 8.0721
angles (deg): 90.01 90.38 90.16
Closest atoms and distances in Å follow each position.
Positions (direct):
Sb 0.5013 0.0003 0.0016  6 O 2.00-2.02
Sb 0.9988 0.4996 0.4983  6 O 2.01-2.02
O 0.7141 0.3039 0.5483  1 Sb 2.01, 1 Li 2.16
O 0.2163 0.1949 0.0529  1 Sb 2.01, 1 Li 2.19
O 0.4039 0.9685 0.7624  1 Sb 2.01, 1 Li 2.21
O 0.3027 0.7206 0.0568  1 Sb 2.02, 1 Li 2.18
O 0.1897 0.2155 0.4436  1 Sb 2.02, 1 Li 2.20
O 0.8059 0.7820 0.5528  1 Sb 2.02, 1 Li 2.18
O 0.6060 0.0325 0.2392  1 Sb 2.01, 1 Li 2.19
O 0.9029 0.5372 0.2601  1 Sb 2.01, 1 Li 2.17
O 0.6924 0.2845 0.9465  1 Sb 2.02, 1 Li 2.17
O 0.2804 0.6999 0.4489  1 Sb 2.01, 1 Li 2.17
O 0.7833 0.8032 0.9524  1 Sb 2.00, 1 Li 2.18
O 0.0970 0.4678 0.7378  1 Sb 2.02, 1 Li 2.21
La 0.5139 0.5459 0.7486  6 O 2.40-2.68
La 0.9873 0.0438 0.7507  4 O 2.40-2.53
La 0.4872 0.4541 0.2512  6 O 2.40-2.68
Li 0.9992 0.4990 0.0013  6 O 2.17-2.21
Li 0.5010 0.0000 0.4986  6 O 2.16-2.21
Nd 0.0166 0.9468 0.2479  6 O 2.37-2.62

Values from the calculation:
Space group: P1
Energy of formation from the pure elements (kJ per mole of atoms): -293.8
Magnetic moment (μB/atom): 0.00



Record 4
Computed, not measured: a relaxed Na42Nb4Zn20Si15S21O144 crystal at the PBE-GGA level of DFT.

a b c (Å): 18.3982 9.1052 22.0095
angles (deg): 90.10 90.43 119.68
Closest atoms and distances in Å follow each position.
Positions (direct):
O 0.8537 0.1411 0.0193  1 Si 1.63
O 0.4324 0.5493 0.0271  1 S 1.47
O 0.4043 0.9889 0.4148  1 S 1.50
O 0.4317 0.3041 0.5285  1 S 1.49
O 0.5869 0.9701 0.9161  1 S 1.50
O 0.9359 0.3733 0.9202  1 S 1.50
O 0.7588 0.6830 0.2496  1 Si 1.63
O 0.2582 0.6810 0.2493  1 Si 1.64
O 0.7399 0.3763 0.1417  1 Si 1.62
O 0.0051 0.1889 0.2001  1 S 1.51
O 0.9253 0.5359 0.7430  1 S 1.48
O 0.5876 0.1534 0.0932  1 Si 1.68
O 0.9056 0.0281 0.8177  1 Si 1.62
O 0.8995 0.8136 0.9156  1 S 1.48
O 0.6471 0.8168 0.2506  1 Si 1.64
O 0.9153 0.8213 0.5935  1 Si 1.67
O 0.4106 0.8333 0.2009  1 Si 1.67
O 0.5973 0.0290 0.5846  1 S 1.53
O 0.0116 0.8154 0.4183  1 S 1.51
O 0.9389 0.3431 0.6361  1 S 1.46
O 0.6618 0.8613 0.9713  1 S 1.49
O 0.0046 0.8169 0.6975  1 S 1.51
O 0.6614 0.4582 0.4725  1 S 1.49
O 0.0852 0.1912 0.6943  1 Si 1.70
O 0.2404 0.3572 0.4135  1 S 1.49
O 0.0766 0.6984 0.7486  1 S 1.47
O 0.4294 0.3184 0.2475  1 S 1.48
O 0.7733 0.8638 0.4691  1 S 1.47
O 0.9287 0.3166 0.2464  1 S 1.47
O 0.7405 0.1248 0.9137  1 S 1.50
O 0.1616 0.4725 0.0767  1 S 1.46
O 0.0767 0.9811 0.9112  1 Si 1.66
O 0.1135 0.0408 0.3162  1 Si 1.63
O 0.4296 0.5417 0.7448  1 S 1.46
O 0.5847 0.9859 0.1973  1 Si 1.68
O 0.0074 0.2079 0.9205  1 S 1.50
O 0.0583 0.4658 0.8594  1 S 1.49
O 0.5687 0.6691 0.0802  1 S 1.48
O 0.4902 0.1931 0.3101  1 S 1.49
O 0.2735 0.6437 0.8584  1 S 1.49
O 0.2422 0.1064 0.6386  1 Si 1.62
O 0.1657 0.4710 0.3597  1 S 1.49
O 0.2181 0.3032 0.0307  1 S 1.49
O 0.4383 0.3660 0.9161  1 S 1.49
O 0.9085 0.8269 0.1984  1 Si 1.73, 1 Nb 1.88
O 0.0586 0.6512 0.3566  1 S 1.49
O 0.3197 0.1284 0.1421  1 Si 1.62
O 0.9027 0.9954 0.4163  1 S 1.49
O 0.4452 0.3447 0.6393  1 S 1.46
O 0.3307 0.5150 0.9232  1 S 1.49
O 0.7285 0.1054 0.6383  1 S 1.47
O 0.2264 0.3555 0.1410  1 S 1.48
O 0.4107 0.9974 0.6962  1 Si 1.76, 1 Nb 1.85
O 0.1798 0.8758 0.8550  1 Si 1.65
O 0.4867 0.8056 0.0859  1 S 1.56
O 0.7525 0.8471 0.0800  1 Si 1.65
O 0.8259 0.5062 0.9214  1 S 1.49
O 0.2468 0.1568 0.9182  1 Si 1.67
O 0.4925 0.1697 0.5861  1 S 1.57
O 0.7393 0.3447 0.4177  1 S 1.50
O 0.6631 0.8545 0.5762  1 S 1.47
O 0.1102 0.1898 0.8129  1 Si 1.61
O 0.6647 0.4934 0.0763  1 Si 1.61
O 0.2535 0.6577 0.5794  1 Si 1.64
O 0.4400 0.5082 0.4183  1 S 1.49
O 0.9000 0.7817 0.3184  1 Si 1.62
O 0.8250 0.1292 0.1420  1 Si 1.62
O 0.1617 0.4631 0.4713  1 S 1.49
O 0.0673 0.6587 0.0843  1 S 1.46
O 0.6659 0.8615 0.8597  1 S 1.49
O 0.0859 0.9923 0.1973  1 Si 1.71
O 0.3560 0.5692 0.5180  1 Si 1.64
O 0.7607 0.8356 0.7517  1 Si 1.65
O 0.5864 0.2018 0.4167  1 S 1.49
O 0.0802 0.4524 0.2513  1 S 1.48
O 0.3512 0.1340 0.0199  1 Si 1.63
O 0.1478 0.8203 0.2501  1 Si 1.64
O 0.9306 0.5566 0.0311  1 S 1.48
O 0.7171 0.2859 0.0229  1 Si 1.65
O 0.2772 0.8706 0.4710  1 S 1.48
O 0.9912 0.8114 0.0889  1 S 1.58
O 0.3272 0.5202 0.6402  1 Si 1.61
O 0.5807 0.4551 0.2534  1 S 1.48
O 0.5751 0.4775 0.9665  1 S 1.47
O 0.7464 0.6514 0.5809  1 Si 1.65
O 0.6715 0.4699 0.3615  1 S 1.49
O 0.5617 0.4666 0.8560  1 S 1.50
O 0.1488 0.4855 0.7521  1 Si 1.64
O 0.9094 0.9853 0.6989  1 Si 1.69
O 0.8158 0.5033 0.6383  1 Si 1.63
O 0.2753 0.6853 0.9685  1 S 1.48
O 0.9902 0.1941 0.3099  1 S 1.49
O 0.8466 0.5636 0.5175  1 Si 1.64
O 0.0869 0.2044 0.4160  1 S 1.50
O 0.4412 0.5365 0.1385  1 S 1.47
O 0.5646 0.6555 0.3594  1 S 1.49
O 0.1638 0.8336 0.5753  1 Si 1.62
O 0.4053 0.8220 0.9157  1 S 1.50
O 0.7698 0.9000 0.3595  1 S 1.49
O 0.5075 0.1946 0.2002  1 S 1.49
O 0.7445 0.3255 0.7484  1 Si 1.62
O 0.0685 0.4666 0.5799  1 S 1.47
O 0.5140 0.2076 0.9172  1 S 1.51
O 0.8470 0.1771 0.7444  1 Si 1.64
O 0.9392 0.5412 0.1421  1 S 1.46
O 0.5153 0.8169 0.4194  1 S 1.50
O 0.4164 0.0112 0.0964  1 Si 1.68
O 0.2422 0.3308 0.7472  1 Si 1.63
O 0.9871 0.7789 0.8070  1 S 1.47
O 0.6480 0.4748 0.7490  1 Si 1.64
O 0.7730 0.6754 0.9718  1 S 1.48
O 0.5708 0.4727 0.5780  1 S 1.47
O 0.7229 0.1347 0.5274  1 S 1.50
O 0.0714 0.6638 0.4673  1 S 1.47
O 0.2698 0.8904 0.3602  1 S 1.49
O 0.5812 0.7103 0.7498  1 S 1.48
O 0.2153 0.1434 0.5206  1 Si 1.66
O 0.6101 0.0349 0.3156  1 Si 1.63
O 0.2440 0.1627 0.2481  1 Si 1.62
O 0.7424 0.1578 0.2488  1 Si 1.63
O 0.8235 0.1447 0.4235  1 S 1.50
O 0.5055 0.8235 0.6990  1 S 1.53
O 0.8471 0.5148 0.2471  1 Si 1.61
O 0.3983 0.7646 0.3183  1 Si 1.64
O 0.0939 0.1660 0.0893  1 S 1.55
O 0.6113 0.1818 0.8137  1 Si 1.62
O 0.2617 0.8356 0.7455  1 Si 1.61
O 0.3445 0.5112 0.2418  1 Si 1.63
O 0.4202 0.8336 0.5907  1 Si 1.71
O 0.5895 0.1836 0.6934  1 Si 1.72
O 0.7655 0.6369 0.8612  1 S 1.50
O 0.1480 0.8558 0.9764  1 Si 1.64
O 0.4910 0.7872 0.8089  1 S 1.48
O 0.3280 0.1442 0.4197  1 S 1.49
O 0.4019 0.0259 0.8157  1 Si 1.62
O 0.0873 0.0201 0.5921  1 Si 1.67
O 0.9185 0.0050 0.0927  1 Si 1.70
O 0.2485 0.8446 0.0811  1 Si 1.64
O 0.9346 0.5052 0.4166  1 S 1.51
O 0.5762 0.6702 0.4703  1 S 1.48
O 0.3466 0.1825 0.7457  1 Si 1.61
O 0.9869 0.1661 0.5851  1 S 1.53
O 0.0738 0.4779 0.9702  1 S 1.47
O 0.9341 0.3097 0.5250  1 S 1.50
Na 0.6918 0.3711 0.2414  5 O 2.36-2.54
Na 0.3427 0.0325 0.9145  6 O 2.45-2.74
Na 0.9927 0.6798 0.9208  5 O 2.40-2.68
Na 0.1639 0.3469 0.5868  4 O 2.48-2.76
Na 0.1603 0.9697 0.0727  3 O 2.32-2.49
Na 0.3179 0.3062 0.8306  3 O 2.36-2.37
Na 0.1685 0.0453 0.4189  6 O 2.40-2.61
Na 0.1890 0.0108 0.7547  6 O 2.49-2.73
Na 0.3556 0.6628 0.4177  5 O 2.36-2.56
Na 0.9977 0.6277 0.2490  6 O 2.43-2.69
Na 0.6636 0.3516 0.5889  4 O 2.39-2.66
Na 0.9831 0.2972 0.4191  6 O 2.39-2.61
Na 0.4911 0.0219 0.0006  4 O 2.39-2.56
Na 0.0003 0.3608 0.7559  4 O 2.39-2.59
Na 0.3088 0.9958 0.2353  4 O 2.34-2.60
Na 0.9962 0.9672 0.5031  5 O 2.42-2.66
Na 0.4973 0.6337 0.2471  4 O 2.41-2.57
Na 0.4817 0.2966 0.4169  6 O 2.40-2.64
Na 0.1638 0.2890 0.9079  3 O 2.29-2.45
Na 0.8323 0.3279 0.8292  6 O 2.39-2.64
Na 0.8173 0.6758 0.0840  4 O 2.39-2.64
Na 0.6806 0.6838 0.6651  3 O 2.32-2.51
Na 0.1674 0.6789 0.6657  5 O 2.37-2.55
Na 0.6685 0.2923 0.9194  6 O 2.45-2.57
Na 0.3046 0.6204 0.7418  4 O 2.30-2.53
Na 0.6654 0.0381 0.4083  3 O 2.27-2.50
Na 0.8108 0.6240 0.7392  5 O 2.38-2.62
Na 0.3291 0.3351 0.3269  4 O 2.33-2.61
Na 0.8280 0.3340 0.3262  2 O 2.30-2.32
Na 0.3154 0.9587 0.5881  5 O 2.40-2.68
Na 0.1796 0.6743 0.1604  3 O 2.27-2.50
Na 0.4961 0.3650 0.7535  5 O 2.41-2.65
Na 0.8539 0.6656 0.4183  5 O 2.35-2.62
Na 0.0060 0.0217 0.9917  3 O 2.30-2.55
Na 0.6943 0.0139 0.7545  6 O 2.45-2.67
Na 0.1919 0.3714 0.2505  6 O 2.45-2.70
Na 0.4964 0.9672 0.4969  4 O 2.32-2.54
Na 0.8059 0.9933 0.2368  4 O 2.33-2.56
Na 0.6673 0.6576 0.1616  5 O 2.38-2.58
Na 0.4809 0.6647 0.9212  6 O 2.40-2.68
Na 0.8569 0.0471 0.9174  6 O 2.41-2.60
Na 0.6636 0.9798 0.0822  4 O 2.47-2.66
S 0.0008 0.2904 0.2531  4 O 1.47-1.51
S 0.1639 0.3750 0.4150  4 O 1.49-1.50
S 0.0203 0.6595 0.4151  4 O 1.47-1.51
S 0.8170 0.9741 0.4173  4 O 1.47-1.50
S 0.4844 0.3333 0.5836  4 O 1.46-1.57
S 0.6646 0.3697 0.4167  4 O 1.49-1.50
S 0.3192 0.9722 0.4165  4 O 1.48-1.50
S 0.5013 0.7115 0.7524  4 O 1.46-1.53
S 0.6805 0.0295 0.5820  4 O 1.47-1.53
S 0.3202 0.6667 0.9164  4 O 1.48-1.50
S 0.8159 0.6590 0.9176  4 O 1.48-1.50
S 0.5017 0.2908 0.2532  4 O 1.48-1.49
S 0.1782 0.3329 0.0842  4 O 1.46-1.55
S 0.4804 0.6288 0.0827  4 O 1.47-1.56
S 0.5243 0.6617 0.4173  4 O 1.48-1.50
S 0.6639 0.9538 0.9151  4 O 1.49-1.50
S 0.9821 0.6298 0.0868  4 O 1.46-1.58
S 0.0198 0.3836 0.9181  4 O 1.47-1.50
S 0.9814 0.3280 0.5828  4 O 1.46-1.53
S 0.5226 0.3809 0.9144  4 O 1.47-1.51
S 0.9988 0.7069 0.7504  4 O 1.47-1.51
Zn 0.3204 0.2904 0.9873  2 O 1.91-1.99
Zn 0.8243 0.3105 0.0037  2 O 1.90-1.92
Zn 0.3142 0.3158 0.6815  4 O 1.94-2.13
Zn 0.1713 0.6744 0.5205  4 O 1.94-2.14
Zn 0.6782 0.6771 0.5175  5 O 1.96-2.19
Zn 0.6763 0.6635 0.8102  5 O 2.03-2.23
Zn 0.1767 0.6820 0.8130  3 O 1.97-2.12
Zn 0.8378 0.3512 0.5005  2 O 1.90-2.05
Zn 0.8268 0.3287 0.6839  4 O 1.97-2.18
Zn 0.5009 0.0233 0.8393  2 O 1.90-1.91
Zn 0.3245 0.3235 0.1812  4 O 1.93-2.15
Zn 0.0026 0.9805 0.3362  2 O 1.89-1.90
Zn 0.0056 0.0171 0.8453  3 O 1.93-2.08
Zn 0.4978 0.9733 0.3316  2 O 1.89-1.90
Zn 0.6751 0.6840 0.3099  5 O 2.01-2.23
Zn 0.1808 0.7018 0.0107  3 O 1.93-2.05
Zn 0.3214 0.3370 0.5081  2 O 1.89-1.90
Zn 0.8164 0.3152 0.1797  3 O 1.94-2.08
Zn 0.1766 0.6882 0.3093  4 O 2.01-2.19
Zn 0.6696 0.6653 0.0206  5 O 1.96-2.15
Si 0.1625 0.9648 0.9141  4 O 1.64-1.67
Si 0.3501 0.6935 0.2531  4 O 1.63-1.67
Si 0.8495 0.6928 0.2561  4 O 1.61-1.73
Si 0.1779 0.0228 0.5817  4 O 1.62-1.67
Si 0.6788 0.3328 0.0828  4 O 1.61-1.68
Si 0.6508 0.2984 0.7541  4 O 1.62-1.72
Si 0.3318 0.0328 0.0839  4 O 1.62-1.68
Si 0.8536 0.0062 0.7554  4 O 1.62-1.69
Si 0.6482 0.9980 0.2544  4 O 1.63-1.68
Si 0.1508 0.0026 0.2549  4 O 1.62-1.71
Si 0.3492 0.0095 0.7545  4 O 1.61-1.76
Si 0.8310 0.6324 0.5826  4 O 1.63-1.67
Si 0.3368 0.6348 0.5820  4 O 1.61-1.71
Si 0.8355 0.0372 0.0826  4 O 1.62-1.70
Si 0.1483 0.3046 0.7534  4 O 1.61-1.70
Nb 0.9955 0.9886 0.1502  5 O 1.88-2.07
Nb 0.4958 0.0018 0.6503  4 O 1.85-2.03
Nb 0.4966 0.9901 0.1465  6 O 1.92-2.13
Nb 0.9967 0.0002 0.6478  6 O 1.92-2.12

Values from the calculation:
Space group: P1
Energy of formation from the pure elements (kJ per mole of atoms): -218.3
Magnetic moment (μB/atom): 0.00